{"formula": "BaAlCrCuO5", "functional": "PBE+U", "state": "relaxed", "cell": [[3.762, 0.000, 0.000], [0.000, 3.762, 0.000], [0.000, 0.000, 7.843]], "species": ["Ba", "Al", "Cr", "Cu", "O", "O", "O", "O", "O"], "frac_coords": [[0.000, 0.000, 0.000], [0.000, 0.000, 0.469], [0.500, 0.500, 0.684], [0.500, 0.500, 0.272], [0.000, 0.500, 0.304], [0.000, 0.500, 0.620], [0.500, 0.000, 0.304], [0.500, 0.000, 0.620], [0.500, 0.500, 0.930]], "total_magnetization_mub_per_cell": 3.00, "total_energy_ev_per_atom": -6.438}

***

{"formula": "FeP2H6NO8", "functional": "PBE+U", "state": "relaxed", "cell": [[7.216, 0.000, 0.000], [3.017, 8.300, 0.000], [3.262, 3.271, 8.458]], "species": ["Fe", "Fe", "Fe", "P", "P", "P", "P", "P", "P", "H", "H", "H", "H", "H", "H", "H", "H", "H", "H", "H", "H", "H", "H", "H", "H", "H", "H", "N", "N", "N", "O", "O", "O", "O", "O", "O", "O", "O", "O", "O", "O", "O", "O", "O", "O", "O", "O", "O", "O", "O", "O", "O", "O", "O"], "frac_coords": [[0.000, 0.000, 0.000], [0.203, 0.220, 0.449], [0.797, 0.780, 0.551], [0.090, 0.626, 0.264], [0.090, 0.844, 0.721], [0.456, 0.061, 0.719], [0.544, 0.939, 0.281], [0.910, 0.156, 0.279], [0.910, 0.374, 0.736], [0.075, 0.539, 0.729], [0.265, 0.961, 0.208], [0.302, 0.285, 0.931], [0.338, 0.471, 0.912], [0.346, 0.297, 0.087], [0.387, 0.571, 0.440], [0.394, 0.761, 0.758], [0.458, 0.373, 0.525], [0.465, 0.706, 0.073], [0.535, 0.294, 0.927], [0.542, 0.627, 0.475], [0.606, 0.239, 0.242], [0.613, 0.429, 0.560], [0.654, 0.703, 0.913], [0.662, 0.529, 0.088], [0.698, 0.715, 0.069], [0.735, 0.039, 0.792], [0.925, 0.461, 0.271], [0.380, 0.337, 0.965], [0.500, 0.500, 0.500], [0.620, 0.663, 0.035], [0.016, 0.259, 0.311], [0.024, 0.687, 0.404], [0.056, 0.087, 0.148], [0.094, 0.411, 0.763], [0.170, 0.765, 0.109], [0.170, 0.984, 0.573], [0.255, 0.456, 0.297], [0.263, 0.053, 0.849], [0.279, 0.703, 0.787], [0.393, 0.877, 0.241], [0.414, 0.206, 0.559], [0.443, 0.121, 0.291], [0.557, 0.879, 0.709], [0.586, 0.794, 0.441], [0.607, 0.123, 0.759], [0.721, 0.297, 0.213], [0.737, 0.947, 0.151], [0.745, 0.544, 0.703], [0.830, 0.016, 0.427], [0.830, 0.235, 0.891], [0.906, 0.589, 0.237], [0.944, 0.913, 0.852], [0.976, 0.313, 0.596], [0.984, 0.741, 0.689]], "total_magnetization_mub_per_cell": 15.00, "total_energy_ev_per_atom": -6.110}

***

{"formula": "LiFe4B4O12", "functional": "PBE+U", "state": "relaxed", "cell": [[5.338, 0.000, 0.000], [0.065, 9.040, 0.000], [0.098, 0.041, 10.130]], "species": ["Li", "Li", "Fe", "Fe", "Fe", "Fe", "Fe", "Fe", "Fe", "Fe", "B", "B", "B", "B", "B", "B", "B", "B", "O", "O", "O", "O", "O", "O", "O", "O", "O", "O", "O", "O", "O", "O", "O", "O", "O", "O", "O", "O", "O", "O", "O", "O"], "frac_coords": [[0.000, 0.000, 0.000], [0.200, 0.509, 0.758], [0.000, 0.341, 0.985], [0.008, 0.664, 0.485], [0.190, 0.846, 0.730], [0.193, 0.165, 0.232], [0.508, 0.823, 0.981], [0.511, 0.163, 0.480], [0.688, 0.664, 0.238], [0.690, 0.323, 0.732], [0.016, 0.677, 0.981], [0.018, 0.326, 0.482], [0.177, 0.828, 0.229], [0.181, 0.178, 0.734], [0.509, 0.827, 0.480], [0.510, 0.156, 0.979], [0.687, 0.328, 0.235], [0.687, 0.656, 0.736], [0.040, 0.712, 0.284], [0.054, 0.312, 0.766], [0.079, 0.048, 0.761], [0.079, 0.967, 0.216], [0.110, 0.544, 0.947], [0.111, 0.465, 0.486], [0.145, 0.808, 0.950], [0.157, 0.206, 0.431], [0.265, 0.173, 0.029], [0.269, 0.802, 0.528], [0.419, 0.194, 0.674], [0.420, 0.798, 0.183], [0.547, 0.206, 0.278], [0.557, 0.776, 0.789], [0.569, 0.521, 0.732], [0.591, 0.467, 0.240], [0.604, 0.965, 0.475], [0.629, 0.020, 0.986], [0.636, 0.276, 0.925], [0.652, 0.704, 0.438], [0.778, 0.296, 0.532], [0.780, 0.694, 0.042], [0.928, 0.302, 0.186], [0.932, 0.672, 0.687]], "total_magnetization_mub_per_cell": 38.00, "total_energy_ev_per_atom": -7.214, "relative_energy_mev_per_atom": 2}

***

{"formula": "LiMn2O4", "functional": "PBE+U", "state": "relaxed", "cell": [[6.635, 0.000, 0.000], [-0.987, 6.574, 0.000], [-3.012, -1.243, 10.509]], "species": ["Li", "Li", "Li", "Li", "Li", "Li", "Mn", "Mn", "Mn", "Mn", "Mn", "Mn", "Mn", "Mn", "Mn", "Mn", "Mn", "Mn", "O", "O", "O", "O", "O", "O", "O", "O", "O", "O", "O", "O", "O", "O", "O", "O", "O", "O", "O", "O", "O", "O", "O", "O"], "frac_coords": [[0.000, 0.000, 0.000], [0.123, 0.113, 0.774], [0.261, 0.239, 0.266], [0.494, 0.491, 0.519], [0.646, 0.646, 0.006], [0.853, 0.843, 0.504], [0.049, 0.545, 0.389], [0.151, 0.612, 0.143], [0.208, 0.709, 0.887], [0.303, 0.787, 0.641], [0.379, 0.875, 0.390], [0.479, 0.946, 0.143], [0.548, 0.044, 0.894], [0.626, 0.126, 0.639], [0.719, 0.202, 0.390], [0.809, 0.287, 0.146], [0.871, 0.386, 0.886], [0.957, 0.460, 0.632], [0.040, 0.749, 0.685], [0.063, 0.312, 0.096], [0.102, 0.415, 0.802], [0.121, 0.829, 0.441], [0.204, 0.501, 0.561], [0.237, 0.908, 0.214], [0.285, 0.007, 0.942], [0.310, 0.578, 0.346], [0.391, 0.664, 0.076], [0.393, 0.077, 0.721], [0.458, 0.171, 0.436], [0.472, 0.757, 0.842], [0.537, 0.837, 0.564], [0.566, 0.235, 0.217], [0.645, 0.915, 0.347], [0.651, 0.339, 0.975], [0.701, 0.418, 0.681], [0.713, 0.998, 0.066], [0.802, 0.498, 0.457], [0.804, 0.093, 0.839], [0.871, 0.165, 0.567], [0.901, 0.572, 0.211], [0.963, 0.672, 0.955], [0.965, 0.252, 0.323]], "total_magnetization_mub_per_cell": 42.00, "total_energy_ev_per_atom": -6.858, "relative_energy_mev_per_atom": 59}

***

{"formula": "VCu3O4", "functional": "PBE+U", "state": "relaxed", "cell": [[-2.296, 2.296, 4.519], [2.296, -2.296, 4.519], [2.296, 2.296, -4.519]], "species": ["V", "Cu", "Cu", "Cu", "O", "O", "O", "O"], "frac_coords": [[0.000, 0.000, 0.000], [0.250, 0.750, 0.500], [0.500, 0.500, 0.000], [0.750, 0.250, 0.500], [0.112, 0.659, 0.000], [0.341, 0.341, 0.452], [0.659, 0.112, 0.000], [0.888, 0.888, 0.548]], "e_ij_max_c_m2": 3.6, "total_magnetization_mub_per_cell": 0.00, "total_energy_ev_per_atom": -5.907}

***

{"formula": "Fe4H14O13", "functional": "PBE+U", "state": "relaxed", "cell": [[6.648, 0.000, 0.000], [-1.994, 6.409, 0.000], [-2.295, -3.226, 5.469]], "species": ["Fe", "Fe", "Fe", "Fe", "H", "H", "H", "H", "H", "H", "H", "H", "H", "H", "H", "H", "H", "H", "O", "O", "O", "O", "O", "O", "O", "O", "O", "O", "O", "O", "O"], "frac_coords": [[0.000, 0.000, 0.000], [0.000, 0.500, 0.500], [0.500, 0.000, 0.500], [0.500, 0.500, 0.000], [0.044, 0.377, 0.938], [0.055, 0.816, 0.373], [0.181, 0.063, 0.739], [0.267, 0.309, 0.442], [0.302, 0.850, 0.044], [0.333, 0.571, 0.284], [0.448, 0.760, 0.808], [0.552, 0.240, 0.192], [0.667, 0.429, 0.716], [0.698, 0.150, 0.956], [0.733, 0.691, 0.558], [0.819, 0.937, 0.261], [0.945, 0.184, 0.627], [0.956, 0.623, 0.062], [0.000, 0.500, 0.000], [0.129, 0.304, 0.316], [0.181, 0.200, 0.865], [0.187, 0.823, 0.507], [0.310, 0.990, 0.174], [0.321, 0.642, 0.815], [0.491, 0.682, 0.314], [0.509, 0.318, 0.686], [0.679, 0.358, 0.185], [0.690, 0.010, 0.826], [0.813, 0.177, 0.493], [0.819, 0.800, 0.135], [0.871, 0.696, 0.684]], "total_magnetization_mub_per_cell": 20.00, "total_energy_ev_per_atom": -5.420, "relative_energy_mev_per_atom": 35}

***

{"formula": "ZnFe5O8", "functional": "PBE+U", "state": "relaxed", "cell": [[0.000, 4.292, 4.292], [4.292, 0.000, 4.292], [4.292, 4.292, 0.000]], "species": ["Zn", "Fe", "Fe", "Fe", "Fe", "Fe", "O", "O", "O", "O", "O", "O", "O", "O"], "frac_coords": [[0.000, 0.000, 0.000], [0.375, 0.375, 0.375], [0.375, 0.375, 0.875], [0.375, 0.875, 0.375], [0.750, 0.750, 0.750], [0.875, 0.375, 0.375], [0.135, 0.135, 0.135], [0.135, 0.135, 0.594], [0.135, 0.594, 0.135], [0.163, 0.612, 0.612], [0.594, 0.135, 0.135], [0.612, 0.163, 0.612], [0.612, 0.612, 0.163], [0.612, 0.612, 0.612]], "total_energy_ev_per_atom": -6.429}

***

{"formula": "K4Mo2H6S2O9", "functional": "PBE+U", "state": "relaxed", "cell": [[5.033, -4.236, 0.000], [5.033, 4.236, 0.000], [-3.079, 0.000, 18.782]], "species": ["K", "K", "K", "K", "K", "K", "K", "K", "Mo", "Mo", "Mo", "Mo", "H", "H", "H", "H", "H", "H", "H", "H", "H", "H", "H", "H", "S", "S", "S", "S", "O", "O", "O", "O", "O", "O", "O", "O", "O", "O", "O", "O", "O", "O", "O", "O", "O", "O"], "frac_coords": [[0.130, 0.738, 0.940], [0.194, 0.223, 0.785], [0.223, 0.194, 0.285], [0.262, 0.870, 0.560], [0.738, 0.130, 0.440], [0.777, 0.806, 0.715], [0.806, 0.777, 0.215], [0.870, 0.262, 0.060], [0.308, 0.541, 0.121], [0.459, 0.692, 0.379], [0.541, 0.308, 0.621], [0.692, 0.459, 0.879], [0.064, 0.462, 0.423], [0.201, 0.293, 0.466], [0.274, 0.711, 0.790], [0.289, 0.726, 0.710], [0.293, 0.201, 0.966], [0.462, 0.064, 0.923], [0.538, 0.936, 0.077], [0.707, 0.799, 0.034], [0.711, 0.274, 0.290], [0.726, 0.289, 0.210], [0.799, 0.707, 0.534], [0.936, 0.538, 0.577], [0.110, 0.764, 0.376], [0.236, 0.890, 0.124], [0.764, 0.110, 0.876], [0.890, 0.236, 0.624], [0.080, 0.314, 0.430], [0.143, 0.457, 0.175], [0.207, 0.793, 0.750], [0.250, 0.429, 0.032], [0.314, 0.080, 0.930], [0.423, 0.538, 0.850], [0.429, 0.250, 0.532], [0.457, 0.143, 0.675], [0.462, 0.577, 0.650], [0.538, 0.423, 0.350], [0.543, 0.857, 0.325], [0.571, 0.750, 0.468], [0.577, 0.462, 0.150], [0.686, 0.920, 0.070], [0.750, 0.571, 0.968], [0.793, 0.207, 0.250], [0.857, 0.543, 0.825], [0.920, 0.686, 0.570]], "total_magnetization_mub_per_cell": 0.00, "total_energy_ev_per_atom": -5.380}

***

Here are the calculated formation energy numbers, same order: -1855, -2910, -4522, -1357, -1016, -3887, -2275, -3671 (kJ/mol of formula units).